Entry 1:
Material: SmAg3
Method: DFT, GGA-PBE
State: relaxed

Cell lengths 7.041, 7.041, 7.041 Å; angles 90.00, 90.00, 90.00 degrees
Space group Fm-3m (No. 225)
Inequivalent atoms, fractional coordinates:
1 Sm 0.000 0.000 0.000 x4
2 Ag 0.000 0.000 0.500 x4
3 Ag 0.250 0.250 0.250 x8

Results
The value obtained for the total energy is -3.510 eV per atom. The formation energy comes out at -0.21 eV/atom. The value obtained for the offset from the most stable computed form is 0 meV per atom.

Entry 2:
Material: LiLaO3
Method: DFT, GGA-PBE
State: relaxed

Cell lengths 3.823, 3.823, 3.823 Å; angles 90.00, 90.00, 90.00 degrees
Space group Pm-3m (No. 221)
Inequivalent atoms, fractional coordinates:
1 Li 0.000 0.000 0.000 x1
2 La 0.500 0.500 0.500 x1
3 O 0.000 0.000 0.500 x3

Results
The value obtained for the total energy is -6.309 eV per atom. The formation energy comes out at -2.38 eV/atom. Its total magnetic moment is 2.00 μB/f.u.

Entry 3:
Material: NbOF3
Method: DFT, GGA-PBE
State: relaxed

Cell lengths 5.515, 5.586, 9.631 Å; angles 90.00, 90.00, 90.00 degrees
Space group P2_12_12_1 (No. 19)
Inequivalent atoms, fractional coordinates:
1 Nb 0.125 0.080 0.139 x4
2 O 0.053 0.397 0.242 x4
3 F 0.072 0.949 0.731 x4
4 F 0.137 0.696 0.494 x4
5 F 0.200 0.833 0.010 x4

Results
The value obtained for the total energy is -7.036 eV per atom. The formation energy comes out at -3.29 eV/atom. The value obtained for the largest piezoelectric modulus is 0.4 C/m².

Entry 4:
Material: Gd2TlZn
Method: DFT, GGA-PBE
State: relaxed

Cell lengths 7.487, 7.487, 7.487 Å; angles 90.00, 90.00, 90.00 degrees
Space group Fm-3m (No. 225)
Inequivalent atoms, fractional coordinates:
1 Gd 0.250 0.250 0.250 x8
2 Tl 0.000 0.000 0.000 x4
3 Zn 0.000 0.000 0.500 x4

Results
The value obtained for the total energy is -8.316 eV per atom. The formation energy comes out at -0.37 eV/atom.

Entry 5:
Material: Na6Sn2S7
Method: DFT, GGA-PBE
State: relaxed

Cell lengths 9.571, 10.818, 15.340 Å; angles 90.00, 105.04, 90.00 degrees
Space group C2/c (No. 15)
Inequivalent atoms, fractional coordinates:
1 Na 0.000 0.000 0.000 x4
2 Na 0.000 0.068 0.250 x4
3 Na 0.095 0.356 0.573 x8
4 Na 0.233 0.229 0.864 x8
5 Sn 0.159 0.411 0.363 x8
6 S 0.000 0.454 0.750 x4
7 S 0.041 0.230 0.396 x8
8 S 0.124 0.136 0.681 x8
9 S 0.205 0.438 0.983 x8

Results
The value obtained for the total energy is -3.899 eV per atom. The formation energy comes out at -1.14 eV/atom.

Entry 6:
Material: CsHo2Ag3Te5
Method: DFT, GGA-PBE
State: relaxed

Cell lengths 4.671, 16.407, 18.638 Å; angles 90.00, 90.00, 90.00 degrees
Space group Cmcm (No. 63)
Inequivalent atoms, fractional coordinates:
1 Cs 0.000 0.058 0.250 x4
2 Ho 0.000 0.193 0.595 x8
3 Ag 0.000 0.341 0.250 x4
4 Ag 0.000 0.418 0.537 x8
5 Te 0.000 0.181 0.069 x8
6 Te 0.000 0.255 0.750 x4
7 Te 0.000 0.432 0.117 x8

Results
The value obtained for the total energy is -3.984 eV per atom. The formation energy comes out at -1.06 eV/atom. Its total magnetic moment is 0.00 μB/f.u.

Entry 7:
Material: Rb2NaCoC6N6
Method: DFT, GGA-PBE
State: relaxed

Cell lengths 7.342, 7.730, 12.863 Å; angles 90.00, 124.34, 90.00 degrees
Space group P2_1/c (No. 14)
Inequivalent atoms, fractional coordinates:
1 Rb 0.229 0.066 0.249 x4
2 Na 0.000 0.000 0.500 x2
3 Co 0.500 0.000 0.000 x2
4 C 0.261 0.134 0.969 x4
5 C 0.330 0.701 0.462 x4
6 C 0.399 0.019 0.830 x4
7 N 0.110 0.218 0.948 x4
8 N 0.221 0.674 0.937 x4
9 N 0.334 0.034 0.724 x4

Results
The value obtained for the total energy is -7.389 eV per atom. The formation energy comes out at -0.29 eV/atom. Its total magnetic moment is 0.00 μB/f.u.

Entry 8:
Material: KCl3
Method: DFT, GGA-PBE
State: relaxed

Cell lengths 4.095, 4.095, 14.174 Å; angles 90.00, 90.00, 90.00 degrees
Space group I4/mmm (No. 139)
Inequivalent atoms, fractional coordinates:
1 K 0.000 0.000 0.000 x2
2 Cl 0.000 0.000 0.500 x2
3 Cl 0.000 0.500 0.250 x4

Results
The value obtained for the total energy is -2.281 eV per atom. The formation energy comes out at -1.08 eV/atom. Its total magnetic moment is 0.01 μB/f.u.

Entry 9:
Material: Nb12Al3Ge
Method: DFT, GGA-PBE
State: relaxed

Cell lengths 5.199, 5.202, 10.394 Å; angles 90.00, 90.00, 90.00 degrees
Space group Pmmm (No. 47)
Inequivalent atoms, fractional coordinates:
1 Nb 0.000 0.000 0.125 x2
2 Nb 0.000 0.000 0.375 x2
3 Nb 0.250 0.500 0.000 x2
4 Nb 0.251 0.500 0.500 x2
5 Nb 0.500 0.250 0.250 x4
6 Al 0.000 0.500 0.250 x2
7 Al 0.500 0.000 0.500 x1
8 Ge 0.500 0.000 0.000 x1

Results
The value obtained for the total energy is -8.764 eV per atom. The formation energy comes out at -0.20 eV/atom. Its total magnetic moment is 0.01 μB/f.u.

Entry 10:
Material: AlSiO3
Method: DFT, GGA-PBE
State: relaxed

Cell lengths 3.559, 3.559, 3.559 Å; angles 90.00, 90.00, 90.00 degrees
Space group Pm-3m (No. 221)
Inequivalent atoms, fractional coordinates:
1 Al 0.000 0.000 0.000 x1
2 Si 0.500 0.500 0.500 x1
3 O 0.000 0.500 0.500 x3

Results
The value obtained for the total energy is -6.545 eV per atom. The formation energy comes out at -2.15 eV/atom. Its total magnetic moment is 0.00 μB/f.u.

Entry 11:
Material: Na2CaP2O7
Method: DFT, GGA-PBE
State: relaxed

Cell lengths 5.467, 7.180, 8.929 Å; angles 69.39, 89.13, 88.90 degrees
Space group P-1 (No. 2)
Inequivalent atoms, fractional coordinates:
1 Na 0.234 0.211 0.019 x2
2 Na 0.266 0.139 0.451 x2
3 Ca 0.269 0.753 0.280 x2
4 P 0.206 0.569 0.690 x2
5 P 0.252 0.883 0.826 x2
6 O 0.043 0.997 0.717 x2
7 O 0.069 0.451 0.330 x2
8 O 0.223 0.873 0.999 x2
9 O 0.229 0.649 0.842 x2
10 O 0.327 0.724 0.545 x2
11 O 0.340 0.368 0.752 x2
12 O 0.492 0.052 0.244 x2

Results
The value obtained for the total energy is -6.666 eV per atom. The formation energy comes out at -2.89 eV/atom. Its total magnetic moment is 0.00 μB/f.u.

Entry 12:
Material: Tb2TiCuO6
Method: DFT, GGA-PBE
State: relaxed

Cell lengths 3.6566, 3.6566, 11.3454 Å; angles 90.00, 90.00, 120.00 degrees
Space group P3m1 (No. 156)
Inequivalent atoms, fractional coordinates:
1 Tb 0.0000 0.0000 0.0000 x1
2 Tb 0.0000 0.0000 0.4516 x1
3 Ti 0.3333 0.6667 0.7254 x1
4 Cu 0.6667 0.3333 0.2258 x1
5 O 0.0000 0.0000 0.2257 x1
6 O 0.0000 0.0000 0.7258 x1
7 O 0.3333 0.6667 0.5616 x1
8 O 0.3333 0.6667 0.8902 x1
9 O 0.6667 0.3333 0.0571 x1
10 O 0.6667 0.3333 0.3942 x1

Results
The value obtained for the total energy is -7.791 eV per atom. The formation energy comes out at -3.11 eV/atom. Its total magnetic moment is 1.03 μB/f.u.